Crystalline TlGeCl3 at its relaxed geometry. Source: the Materials Project, functional PBE.

Geometry as CIF:
```
data_TlGeCl3
_chemical_formula_sum 'Tl2 Ge2 Cl6'
_cell_length_a 5.7435
_cell_length_b 7.1957
_cell_length_c 8.3471
_cell_angle_alpha 90.00
_cell_angle_beta 109.75
_cell_angle_gamma 90.00
_symmetry_space_group_name_H-M 'P 1 21/m 1'
_symmetry_Int_Tables_number 11
loop_
_symmetry_equiv_pos_as_xyz
'x,y,z'
'-x,-y,-z'
'-x,y+1/2,-z'
'x,-y+1/2,z'
loop_
_atom_site_label
_atom_site_fract_x
_atom_site_fract_y
_atom_site_fract_z
_atom_site_occupancy
Tl1 0.1591 0.2500 0.3113 1
Ge1 0.4729 0.2500 0.8748 1
Cl1 0.1141 0.7500 0.1204 1
Cl2 0.3398 0.0054 0.6743 1
```

Results
* energy relative to the elements: -1.2858 eV/atom